1.
A plane-wave DFT calculation with PBE was carried out for crystalline NaScSiSnS2O12 at its relaxed geometry.

Calculated values
The total magnetic moment is 0.000 μB per formula unit. For the formation energy, the calculation gives -44.02 eV/f.u. For the theoretical density, the calculation gives 2984 kg/m3.

a = 8.863 Å, b = 8.841 Å, c = 23.190 Å
α = 90.39°, β = 90.00°, γ = 120.08°
Element x y z (fractional)
1 O 0.474 0.317 0.744
2 O 0.461 0.314 0.031
3 O 0.360 0.879 0.864
4 O 0.522 0.645 0.865
5 O 0.801 0.974 0.693
6 O 0.657 0.136 0.422
7 O 0.556 0.854 0.469
8 O 0.173 0.974 0.193
9 O 0.804 0.969 0.408
10 O 0.177 0.014 0.590
11 O 0.031 0.183 0.914
12 O 0.853 0.314 0.531
13 O 0.357 0.494 0.079
14 O 0.519 0.879 0.364
15 O 0.487 0.181 0.246
16 O 0.975 0.179 0.589
17 O 0.223 0.182 0.802
18 O 0.834 0.533 0.743
19 O 0.506 0.637 0.579
20 O 0.155 0.463 0.256
21 O 0.869 0.508 0.423
22 O 0.205 0.179 0.089
23 O 0.149 0.686 0.756
24 O 0.131 0.637 0.079
25 O 0.556 0.705 0.969
26 O 0.976 0.796 0.090
27 O 0.020 0.207 0.198
28 O 0.823 0.036 0.807
29 O 0.152 0.183 0.414
30 O 0.124 0.645 0.365
31 O 0.213 0.036 0.307
32 O 0.149 0.705 0.469
33 O 0.298 0.462 0.475
34 O 0.537 0.686 0.256
35 O 0.639 0.508 0.923
36 O 0.355 0.496 0.360
37 O 0.504 0.359 0.421
38 O 0.298 0.854 0.969
39 O 0.820 0.796 0.590
40 O 0.639 0.515 0.637
41 O 0.843 0.317 0.244
42 O 0.025 0.817 0.699
43 O 0.486 0.840 0.075
44 O 0.308 0.463 0.756
45 O 0.699 0.533 0.243
46 O 0.136 0.494 0.579
47 O 0.694 0.181 0.746
48 O 0.479 0.136 0.922
49 O 0.512 0.828 0.756
50 O 0.959 0.182 0.302
51 O 0.792 0.817 0.199
52 O 0.692 0.541 0.532
53 O 0.463 0.155 0.526
54 O 0.316 0.828 0.256
55 O 0.354 0.840 0.575
56 O 0.164 0.462 0.975
57 O 0.627 0.115 0.140
58 O 0.854 0.359 0.921
59 O 0.692 0.155 0.026
60 O 0.876 0.515 0.137
61 O 0.141 0.496 0.860
62 O 0.486 0.372 0.136
63 O 0.487 0.115 0.640
64 O 0.807 0.822 0.911
65 O 0.015 0.822 0.411
66 O 0.817 0.787 0.304
67 O 0.848 0.541 0.032
68 O 0.837 0.014 0.090
69 O 0.970 0.787 0.804
70 O 0.188 0.207 0.698
71 O 0.165 0.969 0.908
72 O 0.886 0.372 0.636
73 Sc 0.333 0.668 0.813
74 Sc 0.681 0.324 0.980
75 Sc 0.997 0.998 0.647
76 Sc 0.643 0.324 0.480
77 Sc 0.335 0.668 0.313
78 Sc 0.002 0.998 0.147
79 Na 0.018 0.011 0.502
80 Na 0.649 0.328 0.335
81 Na 0.346 0.684 0.668
82 Na 0.992 0.011 0.002
83 Na 0.338 0.684 0.168
84 Na 0.680 0.328 0.835
85 S 0.955 0.621 0.084
86 S 0.039 0.666 0.416
87 S 0.666 0.621 0.584
88 S 0.294 0.292 0.749
89 S 0.377 0.336 0.082
90 S 0.997 0.292 0.249
91 S 0.959 0.336 0.582
92 S 0.996 0.709 0.749
93 S 0.712 0.709 0.249
94 S 0.328 0.958 0.915
95 S 0.627 0.666 0.916
96 S 0.630 0.958 0.415
97 Sn 0.653 0.314 0.184
98 Sn 0.334 0.667 0.018
99 Sn 0.661 0.314 0.684
100 Sn 0.994 0.013 0.852
101 Sn 0.018 0.013 0.352
102 Sn 0.332 0.667 0.518
103 Si 0.047 0.379 0.916
104 Si 0.367 0.035 0.582
105 Si 0.705 0.997 0.748
106 Si 0.332 0.379 0.416
107 Si 0.293 0.997 0.248
108 Si 0.668 0.035 0.082



2.
A plane-wave DFT calculation with PBE was carried out for crystalline Na3ScSi2SnSO12 at its relaxed geometry.

Calculated values
The total magnetic moment is 0.000 μB per formula unit. For the formation energy, the calculation gives -52.79 eV/f.u. For the theoretical density, the calculation gives 3133 kg/m3.

a = 9.076 Å, b = 9.076 Å, c = 22.751 Å
α = 88.95°, β = 91.05°, γ = 119.50°
Element x y z (fractional)
1 O 0.110 0.633 0.362
2 O 0.033 0.223 0.195
3 O 0.778 0.825 0.192
4 O 0.487 0.155 0.246
5 O 0.645 0.519 0.634
6 O 0.184 0.027 0.587
7 O 0.146 0.635 0.078
8 O 0.443 0.300 0.028
9 O 0.365 0.854 0.578
10 O 0.508 0.888 0.359
11 O 0.628 0.481 0.924
12 O 0.841 0.555 0.026
13 O 0.518 0.693 0.253
14 O 0.197 0.182 0.090
15 O 0.186 0.705 0.757
16 O 0.512 0.847 0.080
17 O 0.531 0.848 0.756
18 O 0.485 0.136 0.923
19 O 0.206 0.176 0.809
20 O 0.849 0.310 0.245
21 O 0.824 0.794 0.309
22 O 0.703 0.162 0.028
23 O 0.690 0.151 0.745
24 O 0.178 0.180 0.413
25 O 0.873 0.510 0.142
26 O 0.356 0.484 0.078
27 O 0.516 0.644 0.578
28 O 0.153 0.488 0.580
29 O 0.845 0.513 0.746
30 O 0.873 0.357 0.644
31 O 0.640 0.149 0.420
32 O 0.479 0.302 0.745
33 O 0.445 0.159 0.526
34 O 0.367 0.890 0.862
35 O 0.490 0.127 0.642
36 O 0.838 0.297 0.528
37 O 0.777 0.967 0.695
38 O 0.312 0.852 0.967
39 O 0.370 0.496 0.361
40 O 0.504 0.630 0.861
41 O 0.698 0.521 0.245
42 O 0.023 0.817 0.411
43 O 0.818 0.803 0.590
44 O 0.539 0.843 0.476
45 O 0.864 0.515 0.423
46 O 0.977 0.794 0.811
47 O 0.310 0.460 0.478
48 O 0.152 0.469 0.256
49 O 0.815 0.021 0.801
50 O 0.307 0.482 0.753
51 O 0.175 0.222 0.692
52 O 0.820 0.822 0.913
53 O 0.036 0.829 0.694
54 O 0.813 0.968 0.412
55 O 0.481 0.355 0.134
56 O 0.295 0.814 0.257
57 O 0.853 0.038 0.090
58 O 0.112 0.492 0.859
59 O 0.157 0.461 0.976
60 O 0.171 0.964 0.194
61 O 0.851 0.360 0.920
62 O 0.643 0.127 0.144
63 O 0.183 0.977 0.911
64 O 0.540 0.690 0.978
65 O 0.979 0.185 0.301
66 O 0.148 0.688 0.467
67 O 0.519 0.372 0.424
68 O 0.962 0.147 0.590
69 O 0.700 0.557 0.528
70 O 0.206 0.023 0.311
71 O 0.032 0.187 0.912
72 O 0.973 0.816 0.087
73 Sc 0.670 0.338 0.686
74 Sc 0.662 0.330 0.186
75 Sc 0.337 0.672 0.019
76 Sc 0.004 0.005 0.352
77 Sc 0.995 0.996 0.852
78 Sc 0.328 0.663 0.519
79 Na 0.005 0.019 0.497
80 Na 0.023 0.337 0.080
81 Na 0.981 0.995 0.997
82 Na 0.629 0.998 0.246
83 Na 0.997 0.643 0.246
84 Na 0.663 0.977 0.580
85 Na 0.339 0.686 0.164
86 Na 0.330 0.310 0.913
87 Na 0.672 0.353 0.831
88 Na 0.314 0.661 0.664
89 Na 0.295 0.331 0.579
90 Na 0.669 0.705 0.079
91 Na 0.002 0.371 0.746
92 Na 0.690 0.670 0.413
93 Na 0.647 0.328 0.331
94 Na 0.962 0.664 0.913
95 Na 0.357 0.003 0.746
96 Na 0.336 0.038 0.413
97 Si 0.333 0.373 0.420
98 Si 0.666 0.039 0.087
99 Si 0.372 0.035 0.585
100 Si 0.627 0.667 0.920
101 Si 0.632 0.962 0.419
102 Si 0.999 0.706 0.753
103 Si 0.294 0.001 0.253
104 Si 0.705 0.702 0.252
105 Si 0.038 0.368 0.919
106 Si 0.298 0.295 0.752
107 Si 0.961 0.334 0.587
108 Si 0.965 0.628 0.085
109 Sn 0.657 0.312 0.482
110 Sn 0.324 0.645 0.816
111 Sn 0.021 0.009 0.649
112 Sn 0.355 0.676 0.316
113 Sn 0.991 0.979 0.149
114 Sn 0.688 0.343 0.982
115 S 0.371 0.328 0.082
116 S 0.038 0.662 0.416
117 S 0.338 0.962 0.916
118 S 0.672 0.629 0.582
119 S 0.005 0.295 0.249
120 S 0.705 0.995 0.749



3.
A plane-wave DFT calculation with PBE was carried out for crystalline Na2Sc3Ta5Si6S6O48 at its relaxed geometry.

Calculated values
The total magnetic moment is 0.000 μB per formula unit. For the formation energy, the calculation gives -197.52 eV/f.u. For the theoretical density, the calculation gives 3502 kg/m3.

a = 17.772 Å, b = 8.877 Å, c = 23.087 Å
α = 89.87°, β = 89.90°, γ = 120.14°
Element x y z (fractional)
1 Sc 0.999 0.006 0.648
2 Sc 0.334 0.339 0.480
3 Sc 0.671 0.662 0.313
4 Sc 0.503 0.026 0.853
5 Sc 0.837 0.330 0.975
6 Sc 0.493 0.980 0.146
7 Sc 0.341 0.340 0.976
8 Sc 0.007 0.002 0.354
9 Sc 0.831 0.347 0.478
10 O 0.230 0.150 0.532
11 O 0.766 0.854 0.762
12 O 0.345 0.172 0.734
13 O 0.659 0.857 0.259
14 O 0.684 0.496 0.078
15 O 0.849 0.165 0.744
16 O 0.516 0.188 0.917
17 O 0.990 0.184 0.591
18 O 0.107 0.047 0.305
19 O 0.732 0.163 0.526
20 O 0.607 0.037 0.302
21 O 0.517 0.830 0.408
22 O 0.404 0.974 0.693
23 O 0.575 0.694 0.469
24 O 0.762 0.838 0.470
25 O 0.083 0.976 0.192
26 O 0.490 0.182 0.592
27 O 0.656 0.481 0.758
28 O 0.742 0.121 0.921
29 O 0.424 0.809 0.307
30 O 0.844 0.531 0.236
31 O 0.086 0.203 0.693
32 O 0.183 0.870 0.577
33 O 0.397 0.828 0.195
34 O 0.256 0.649 0.865
35 O 0.937 0.362 0.636
36 O 0.179 0.487 0.365
37 O 0.155 0.835 0.255
38 O 0.244 0.364 0.424
39 O 0.745 0.360 0.136
40 O 0.264 0.689 0.971
41 O 0.157 0.470 0.471
42 O 0.890 0.968 0.699
43 O 0.822 0.501 0.640
44 O 0.349 0.532 0.527
45 O 0.586 0.483 0.973
46 O 0.402 0.970 0.405
47 O 0.819 0.123 0.424
48 O 0.656 0.843 0.970
49 O 0.242 0.169 0.233
50 O 0.572 0.498 0.860
51 O 0.564 0.647 0.363
52 O 0.908 0.777 0.300
53 O 0.435 0.517 0.421
54 O 0.087 0.211 0.416
55 O 0.678 0.498 0.359
56 O 0.972 0.157 0.308
57 O 0.584 0.955 0.912
58 O 0.066 0.495 0.576
59 O 0.395 0.822 0.914
60 O 0.084 0.475 0.260
61 O 0.593 0.017 0.600
62 O 0.821 0.142 0.139
63 O 0.250 0.149 0.923
64 O 0.923 0.528 0.744
65 O 0.424 0.301 0.531
66 O 0.854 0.173 0.028
67 O 0.077 0.691 0.759
68 O 0.075 0.649 0.360
69 O 0.260 0.835 0.760
70 O 0.915 0.318 0.236
71 O 0.101 0.182 0.095
72 O 0.751 0.133 0.639
73 O 0.017 0.195 0.907
74 O 0.602 0.185 0.093
75 O 0.564 0.492 0.575
76 O 0.225 0.300 0.032
77 O 0.609 0.171 0.807
78 O 0.991 0.798 0.095
79 O 0.480 0.778 0.802
80 O 0.311 0.506 0.923
81 O 0.265 0.836 0.474
82 O 0.573 0.638 0.072
83 O 0.919 0.825 0.593
84 O 0.757 0.871 0.365
85 O 0.414 0.040 0.807
86 O 0.484 0.174 0.302
87 O 0.855 0.547 0.526
88 O 0.579 0.188 0.402
89 O 0.261 0.678 0.267
90 O 0.249 0.856 0.359
91 O 0.085 0.686 0.474
92 O 0.579 0.695 0.757
93 O 0.748 0.854 0.073
94 O 0.245 0.636 0.572
95 O 0.415 0.811 0.598
96 O 0.770 0.694 0.253
97 O 0.066 0.638 0.077
98 O 0.572 0.464 0.259
99 O 0.417 0.298 0.244
100 O 0.930 0.485 0.419
101 O 0.320 0.494 0.639
102 O 0.744 0.316 0.739
103 O 0.494 0.820 0.089
104 O 0.584 0.192 0.693
105 O 0.894 0.959 0.415
106 O 0.748 0.646 0.860
107 O 0.916 0.014 0.098
108 O 0.013 0.813 0.698
109 O 0.158 0.478 0.765
110 O 0.322 0.151 0.422
111 O 0.103 0.021 0.591
112 O 0.084 0.475 0.974
113 O 0.253 0.862 0.074
114 O 0.929 0.363 0.919
115 O 0.926 0.550 0.032
116 O 0.514 0.212 0.198
117 O 0.076 0.507 0.860
118 O 0.239 0.309 0.742
119 O 0.764 0.698 0.973
120 O 0.911 0.028 0.803
121 O 0.245 0.360 0.136
122 O 0.181 0.492 0.077
123 O 0.902 0.836 0.900
124 O 0.430 0.367 0.918
125 O 0.673 0.845 0.569
126 O 0.817 0.492 0.922
127 O 0.414 0.532 0.027
128 O 0.651 0.475 0.472
129 O 0.078 0.957 0.907
130 O 0.983 0.786 0.803
131 O 0.156 0.831 0.974
132 O 0.513 0.819 0.697
133 O 0.749 0.350 0.419
134 O 0.094 0.155 0.807
135 O 0.316 0.120 0.135
136 O 0.348 0.519 0.242
137 O 0.245 0.128 0.636
138 O 0.749 0.640 0.574
139 O 0.735 0.169 0.242
140 O 0.677 0.864 0.863
141 O 0.436 0.360 0.635
142 O 0.936 0.510 0.136
143 O 0.424 0.529 0.739
144 O 0.595 0.981 0.198
145 O 0.010 0.191 0.195
146 O 0.343 0.146 0.031
147 O 0.925 0.305 0.532
148 O 0.429 0.497 0.138
149 O 0.730 0.308 0.032
150 O 0.900 0.820 0.196
151 O 0.410 0.025 0.089
152 O 0.015 0.842 0.414
153 O 0.180 0.856 0.860
154 S 0.524 0.668 0.416
155 S 0.501 0.713 0.750
156 S 0.191 0.335 0.084
157 S 0.856 0.709 0.248
158 S 0.166 0.383 0.417
159 S 0.501 0.287 0.250
160 S 0.978 0.624 0.084
161 S 0.477 0.335 0.583
162 S 0.690 0.333 0.083
163 S 0.332 0.043 0.083
164 S 0.810 0.952 0.417
165 S 0.979 0.336 0.582
166 S 0.644 0.002 0.251
167 S 0.190 0.045 0.583
168 S 0.855 0.003 0.752
169 S 0.308 0.667 0.917
170 S 0.998 0.708 0.751
171 S 0.664 0.946 0.916
172 Ta 0.668 0.664 0.024
173 Ta 0.166 0.673 0.808
174 Ta 0.006 0.008 0.863
175 Ta 0.494 0.992 0.361
176 Ta 0.672 0.662 0.525
177 Ta 0.163 0.678 0.307
178 Ta 0.499 0.004 0.643
179 Ta 0.171 0.676 0.520
180 Ta 0.340 0.347 0.190
181 Ta 0.665 0.648 0.812
182 Ta 0.832 0.319 0.187
183 Ta 0.003 0.014 0.148
184 Ta 0.327 0.335 0.690
185 Ta 0.826 0.327 0.683
186 Ta 0.163 0.665 0.019
187 Si 0.999 0.286 0.254
188 Si 0.356 0.716 0.252
189 Si 0.687 0.041 0.580
190 Si 0.668 0.379 0.415
191 Si 0.332 0.621 0.582
192 Si 0.023 0.385 0.915
193 Si 0.840 0.631 0.582
194 Si 0.478 0.625 0.080
195 Si 0.306 0.958 0.415
196 Si 0.809 0.663 0.917
197 Si 0.144 0.006 0.248
198 Si 0.171 0.958 0.915
199 Si 0.835 0.042 0.080
200 Si 0.021 0.665 0.417
201 Si 0.523 0.376 0.919
202 Si 0.644 0.284 0.749
203 Si 0.358 0.003 0.749
204 Si 0.139 0.284 0.751
205 Na 0.334 0.318 0.840
206 Na 0.501 0.999 0.999
207 Na 0.837 0.344 0.345
208 Na 0.832 0.339 0.839
209 Na 0.327 0.321 0.337
210 Na 0.994 0.979 0.498



Which of these has the highest formation energy? NaScSiSnS2O12



Which formula does entry 1 have? NaScSiSnS2O12